1.
Hf2Ni7 | the Materials Project database | r2SCAN | relaxed; crystal system = monoclinic; E_form = -0.438 eV/atom
1.0
2.305 -4.052 0.000
2.305 4.052 0.000
-1.718 0.000 5.957
Hf Ni
2 7
Direct
0.107 0.107 0.272
0.893 0.893 0.728
0.000 0.500 0.000
0.207 0.536 0.655
0.464 0.793 0.345
0.500 0.000 0.000
0.500 0.500 0.000
0.536 0.207 0.655
0.793 0.464 0.345

2.
B2O3 | the Materials Project database | r2SCAN | relaxed; crystal system = orthorhombic; E_form = -2.550 eV/atom
1.0
3.909 -2.309 0.000
3.909 2.309 0.000
0.000 0.000 4.133
B O
4 6
Direct
0.006 0.324 0.000
0.324 0.006 0.500
0.676 0.994 0.000
0.994 0.676 0.500
0.079 0.339 0.649
0.245 0.755 0.568
0.339 0.079 0.149
0.661 0.921 0.649
0.755 0.245 0.068
0.921 0.661 0.149

3.
HgI2O6 | the Materials Project database | r2SCAN | relaxed; crystal system = monoclinic; E_form = -0.380 eV/atom
1.0
5.776 0.000 0.000
0.000 5.636 0.000
-2.029 0.000 8.754
Hg I O
2 4 12
Direct
0.076 0.000 0.173
0.924 0.500 0.827
0.272 0.484 0.572
0.431 0.521 0.151
0.569 0.021 0.849
0.728 0.984 0.428
0.032 0.686 0.582
0.172 0.333 0.067
0.235 0.323 0.744
0.303 0.670 0.297
0.335 0.751 0.008
0.478 0.175 0.343
0.522 0.675 0.657
0.665 0.251 0.992
0.697 0.170 0.703
0.765 0.823 0.256
0.828 0.833 0.933
0.968 0.186 0.418

4.
CaPb3 | the Materials Project database | r2SCAN | relaxed; crystal system = cubic; E_form = -0.384 eV/atom
1.0
4.918 0.000 0.000
0.000 4.918 0.000
0.000 0.000 4.918
Ca Pb
1 3
Direct
0.000 0.000 0.000
0.000 0.500 0.500
0.500 0.000 0.500
0.500 0.500 0.000

5.
Sr7H12Cl2 | the Materials Project database | r2SCAN | relaxed; crystal system = hexagonal; E_form = -0.974 eV/atom
1.0
9.966 0.000 0.000
-4.983 8.631 0.000
0.000 0.000 3.941
Sr H Cl
7 12 2
Direct
0.000 0.000 0.000
0.117 0.717 0.500
0.283 0.400 0.500
0.412 0.108 0.000
0.600 0.883 0.500
0.696 0.588 0.000
0.892 0.304 0.000
0.049 0.440 0.500
0.119 0.277 0.000
0.157 0.881 0.000
0.216 0.112 0.500
0.390 0.951 0.500
0.425 0.365 0.000
0.560 0.610 0.500
0.635 0.060 0.000
0.723 0.843 0.000
0.888 0.104 0.500
0.896 0.784 0.500
0.940 0.575 0.000
0.333 0.667 0.000
0.667 0.333 0.500

6.
LiMg2 | the Materials Project database | r2SCAN | relaxed; crystal system = hexagonal; E_form = -0.017 eV/atom
1.0
3.159 0.000 0.000
-1.580 2.736 0.000
0.000 0.000 14.971
Li Mg
2 4
Direct
0.333 0.667 0.250
0.667 0.333 0.750
0.333 0.667 0.586
0.333 0.667 0.914
0.667 0.333 0.086
0.667 0.333 0.414

Number 1: magnetization 0.000 μB/atom, calculated total energy -19.79 eV/atom. Number 2: magnetization 0.000 μB/atom, calculated total energy -9.07 eV/atom. Number 3: magnetization 0.000 μB/atom, calculated total energy -15.30 eV/atom. Number 4: magnetization 0.000 μB/atom, calculated total energy -44.36 eV/atom. Number 5: magnetization 0.000 μB/atom, calculated total energy -8.58 eV/atom. Number 6: magnetization 0.000 μB/atom, calculated total energy -3.59 eV/atom.